(1)
# Hf2N2O, optimized geometry, DFT r2SCAN
# magnetic moment: 0.00 μB per cell
# energy: -25.4784 eV/atom
# energy of formation: -59.31 kcal/mol of atoms
data_Hf2N2O
_chemical_formula_sum 'Hf16 N16 O8'
_space_group_name_H-M_alt 'P 1'
_space_group_IT_number 1
_cell_length_a 8.669
_cell_length_b 8.670
_cell_length_c 8.675
_cell_angle_alpha 109.41
_cell_angle_beta 109.53
_cell_angle_gamma 109.43
loop_
_space_group_symop_operation_xyz
'x,y,z'
loop_
_atom_site_label
_atom_site_type_symbol
_atom_site_fract_x
_atom_site_fract_y
_atom_site_fract_z
Hf1 Hf 0.997 0.508 0.006
Hf2 Hf 0.720 0.457 0.249
Hf3 Hf 0.215 0.965 0.250
Hf4 Hf 0.031 0.750 0.779
Hf5 Hf 0.780 0.031 0.745
Hf6 Hf 0.250 0.714 0.466
Hf7 Hf 0.996 0.009 0.505
Hf8 Hf 0.759 0.789 0.035
Hf9 Hf 0.532 0.755 0.295
Hf10 Hf 0.513 0.502 0.509
Hf11 Hf 0.955 0.240 0.212
Hf12 Hf 0.248 0.214 0.954
Hf13 Hf 0.505 0.006 0.995
Hf14 Hf 0.471 0.257 0.717
Hf15 Hf 0.743 0.280 0.533
Hf16 Hf 0.291 0.538 0.751
N1 N 0.014 0.047 0.278
N2 N 0.261 0.770 0.728
N3 N 0.773 0.545 0.533
N4 N 0.954 0.727 0.985
N5 N 0.543 0.536 0.772
N6 N 0.994 0.959 0.732
N7 N 0.506 0.236 0.966
N8 N 0.731 0.263 0.776
N9 N 0.758 0.030 0.483
N10 N 0.967 0.512 0.239
N11 N 0.532 0.768 0.544
N12 N 0.274 0.741 0.225
N13 N 0.728 0.988 0.955
N14 N 0.737 0.223 0.271
N15 N 0.222 0.274 0.736
N16 N 0.463 0.226 0.452
O1 O 0.037 0.488 0.764
O2 O 0.488 0.757 0.034
O3 O 0.766 0.723 0.257
O4 O 0.238 0.963 0.511
O5 O 0.451 0.465 0.225
O6 O 0.275 0.013 0.048
O7 O 0.227 0.454 0.465
O8 O 0.054 0.278 0.018

(2)
# Hf2N2O, optimized geometry, DFT r2SCAN
# magnetic moment: 0.00 μB per cell
# energy: -25.4780 eV/atom
# energy of formation: -59.30 kcal/mol of atoms
data_Hf2N2O
_chemical_formula_sum 'Hf16 N16 O8'
_space_group_name_H-M_alt 'P 1'
_space_group_IT_number 1
_cell_length_a 8.649
_cell_length_b 8.669
_cell_length_c 8.672
_cell_angle_alpha 109.41
_cell_angle_beta 109.33
_cell_angle_gamma 109.38
loop_
_space_group_symop_operation_xyz
'x,y,z'
loop_
_atom_site_label
_atom_site_type_symbol
_atom_site_fract_x
_atom_site_fract_y
_atom_site_fract_z
Hf1 Hf 0.465 0.217 0.758
Hf2 Hf 0.254 0.964 0.213
Hf3 Hf 0.966 0.713 0.741
Hf4 Hf 0.283 0.245 0.027
Hf5 Hf 0.511 0.509 0.516
Hf6 Hf 0.224 0.753 0.473
Hf7 Hf 0.529 0.793 0.249
Hf8 Hf 0.788 0.250 0.531
Hf9 Hf 0.748 0.532 0.288
Hf10 Hf 0.492 0.998 0.997
Hf11 Hf 0.042 0.292 0.257
Hf12 Hf 0.249 0.464 0.713
Hf13 Hf 0.705 0.743 0.959
Hf14 Hf 0.010 0.497 0.996
Hf15 Hf 0.998 0.005 0.508
Hf16 Hf 0.752 0.032 0.782
O1 O 0.237 0.016 0.461
O2 O 0.490 0.535 0.261
O3 O 0.772 0.758 0.226
O4 O 0.730 0.277 0.765
O5 O 0.949 0.484 0.224
O6 O 0.962 0.736 0.019
O7 O 0.774 0.035 0.048
O8 O 0.263 0.228 0.276
N1 N 0.516 0.464 0.739
N2 N 0.268 0.725 0.236
N3 N 0.458 0.729 0.967
N4 N 0.044 0.512 0.775
N5 N 0.740 0.774 0.734
N6 N 0.723 0.452 0.483
N7 N 0.761 0.988 0.535
N8 N 0.469 0.958 0.726
N9 N 0.224 0.967 0.958
N10 N 0.550 0.276 0.036
N11 N 0.530 0.046 0.273
N12 N 0.034 0.264 0.993
N13 N 0.225 0.233 0.769
N14 N 0.270 0.542 0.505
N15 N 0.984 0.221 0.446
N16 N 0.014 0.771 0.540

(3)
# Hf2N2O, optimized geometry, DFT r2SCAN
# magnetic moment: 0.00 μB per cell
# energy: -25.4744 eV/atom
# energy of formation: -59.22 kcal/mol of atoms
data_Hf2N2O
_chemical_formula_sum 'Hf16 N16 O8'
_space_group_name_H-M_alt 'P 1'
_space_group_IT_number 1
_cell_length_a 8.662
_cell_length_b 8.670
_cell_length_c 8.674
_cell_angle_alpha 109.51
_cell_angle_beta 109.24
_cell_angle_gamma 109.46
loop_
_space_group_symop_operation_xyz
'x,y,z'
loop_
_atom_site_label
_atom_site_type_symbol
_atom_site_fract_x
_atom_site_fract_y
_atom_site_fract_z
O1 O 0.987 0.762 0.535
O2 O 0.518 0.051 0.773
O3 O 0.720 0.448 0.964
O4 O 0.243 0.226 0.776
O5 O 0.261 0.039 0.987
O6 O 0.452 0.728 0.494
O7 O 0.466 0.506 0.742
O8 O 0.229 0.261 0.270
Hf1 Hf 0.541 0.752 0.284
Hf2 Hf 0.286 0.031 0.255
Hf3 Hf 0.749 0.214 0.464
Hf4 Hf 0.785 0.534 0.250
Hf5 Hf 0.242 0.779 0.529
Hf6 Hf 0.011 0.502 0.002
Hf7 Hf 0.030 0.744 0.789
Hf8 Hf 0.755 0.722 0.968
Hf9 Hf 0.252 0.292 0.036
Hf10 Hf 0.511 0.500 0.499
Hf11 Hf 0.207 0.473 0.748
Hf12 Hf 0.957 0.250 0.214
Hf13 Hf 0.990 0.001 0.489
Hf14 Hf 0.506 0.996 0.009
Hf15 Hf 0.726 0.969 0.756
Hf16 Hf 0.462 0.243 0.705
N1 N 0.230 0.989 0.461
N2 N 0.769 0.735 0.720
N3 N 0.482 0.951 0.223
N4 N 0.544 0.277 0.515
N5 N 0.952 0.467 0.728
N6 N 0.273 0.544 0.031
N7 N 0.733 0.962 0.008
N8 N 0.019 0.240 0.466
N9 N 0.032 0.775 0.046
N10 N 0.970 0.227 0.957
N11 N 0.723 0.271 0.233
N12 N 0.272 0.730 0.758
N13 N 0.533 0.490 0.267
N14 N 0.046 0.538 0.274
N15 N 0.771 0.009 0.544
N16 N 0.764 0.771 0.228

Q: The lowest energy of formation belongs to which entry?
A: number 1

Q: Look up the energy of formation of the first one.
A: -59.31 kcal/mol of atoms

Q: What is the magnetic moment in the second record?
A: 0.00 μB per cell